Entry 1:
First-principles (PBE) data for a relaxed Pr7Pt3 crystal, as listed in the Materials Project database.

a b c (Å): 10.269 17.736 6.545
angles (deg): 90.00 90.00 90.00
Space group Cmc2_1 (No. 36)
Asymmetric unit:
Pr  0.000  0.038  0.000 [4 per cell]
Pr  0.000  0.167  0.484 [4 per cell]
Pr  0.000  0.373  0.693 [4 per cell]
Pr  0.190  0.437  0.194 [8 per cell]
Pr  0.193  0.231  0.000 [8 per cell]
Pt  0.000  0.311  0.252 [4 per cell]
Pt  0.216  0.094  0.253 [8 per cell]

Computed properties:
Formation energy from the elements: -722 meV/atom
M_tot: 0.00 μB per formula unit

Entry 2:
First-principles (PBE) data for a relaxed PrPt3 crystal, as listed in the Materials Project database.

a b c (Å): 4.222 4.222 4.222
angles (deg): 90.00 90.00 90.00
Space group Pm-3m (No. 221)
Asymmetric unit:
Pr  0.000  0.000  0.000 [1 per cell]
Pt  0.000  0.500  0.500 [3 per cell]

Computed properties:
Formation energy from the elements: -807 meV/atom

Entry 3:
First-principles (PBE) data for a relaxed PrPt2 crystal, as listed in the Materials Project database.

a b c (Å): 7.841 7.841 7.841
angles (deg): 90.00 90.00 90.00
Space group Fd-3m (No. 227, origin choice 2)
Asymmetric unit:
Pr  0.125  0.125  0.125 [8 per cell]
Pt  0.000  0.000  0.500 [16 per cell]

Computed properties:
Formation energy from the elements: -1023 meV/atom

Entry 4:
First-principles (PBE) data for a relaxed Pr3Pt2 crystal, as listed in the Materials Project database.

a b c (Å): 9.1410 9.1410 17.1078
angles (deg): 90.00 90.00 120.00
Space group R-3 (No. 148, hexagonal axes)
Asymmetric unit:
Pr  0.0000  0.0000  0.0000 [3 per cell]
Pr  0.0000  0.0000  0.2023 [6 per cell]
Pr  0.0162  0.2578  0.5922 [18 per cell]
Pt  0.0210  0.6108  0.5694 [18 per cell]

Computed properties:
Formation energy from the elements: -905 meV/atom